No. 1
SrGaSiH | PBE | relaxed

Unit cell a=4.2021 b=4.2021 c=4.9478 alpha=90.00 beta=90.00 gamma=120.00
Closest atoms and distances in Å follow each position.
Fractional coordinates of all 4 atoms:
Si 0.0000 0.0000 0.4440  3 Ga 2.48
H 0.3333 0.6667 0.9083  1 Ga 1.78
Sr 0.6667 0.3333 0.9969  3 H 2.47
Ga 0.3333 0.6667 0.5477  1 H 1.78

Properties
Piezoelectric modulus e_max ... 0.64 C/m²
Total energy ... -3.79 eV/atom
Energy of formation ... -0.455 eV/atom

No. 2
Li2U3P4O20 | PBE | relaxed

Unit cell a=5.4092 b=6.7782 c=12.6793 alpha=94.83 beta=99.14 gamma=110.45
Closest atoms and distances in Å follow each position.
Fractional coordinates of all 29 atoms:
O 0.4547 0.2454 0.4450  1 U 1.79
O 0.8896 0.5076 0.6271  1 P 1.51
O 0.9417 0.2224 0.9556  1 U 1.82
O 0.1104 0.4924 0.3729  1 P 1.51
O 0.7128 0.3847 0.1180  1 P 1.53
O 0.0583 0.7776 0.0444  1 U 1.82
O 0.0086 0.8102 0.4597  1 P 1.54
O 0.3074 0.4328 0.7005  2 P 1.61
O 0.6248 0.4347 0.8670  1 P 1.54
O 0.3752 0.5653 0.1330  1 P 1.54
O 0.6778 0.7762 0.7869  1 P 1.53
O 0.5453 0.7546 0.5550  1 U 1.79
O 0.2244 0.9470 0.7116  1 U 1.82
O 0.9914 0.1898 0.5403  1 P 1.54
O 0.7756 0.0530 0.2884  1 U 1.82
O 0.6926 0.5672 0.2995  2 P 1.61
O 0.8460 0.1694 0.7119  1 P 1.53
O 0.2872 0.6153 0.8820  1 P 1.53
O 0.1540 0.8306 0.2881  1 P 1.53
O 0.3222 0.2238 0.2131  1 P 1.53
P 0.4792 0.5725 0.8148  4 O 1.53-1.61
P 0.9932 0.3293 0.6432  4 O 1.51-1.61
P 0.0068 0.6707 0.3568  4 O 1.51-1.61
P 0.5208 0.4275 0.1852  4 O 1.53-1.61
U 0.0000 0.5000 0.0000  2 O 1.82
U 0.1179 0.1574 0.3685  2 O 1.79-1.82
U 0.8821 0.8426 0.6315  2 O 1.79-1.82
Li 0.3921 0.9260 0.1890  2 O 1.93-2.09
Li 0.6079 0.0740 0.8110  2 O 1.93-2.09

Properties
Total energy ... -8.07 eV/atom
Energy of formation ... -3.085 eV/atom

No. 3
Mg6CdSn | PBE | relaxed

Unit cell a=5.0792 b=6.5986 c=10.8931 alpha=90.00 beta=90.00 gamma=90.00
Closest atoms and distances in Å follow each position.
Fractional coordinates of all 16 atoms:
Cd 0.5000 0.5000 0.8333  10 Mg 3.12-3.19, 2 Sn 3.30
Cd 0.5000 0.0000 0.3333  10 Mg 3.12-3.19, 2 Sn 3.30
Mg 0.0000 0.2546 0.9176  8 Mg 3.12-3.36, 2 Cd 3.15, 2 Sn 3.18
Mg 0.0000 0.0000 0.1670  2 Cd 3.12, 10 Mg 3.16-3.30
Mg 0.5000 0.7498 0.0837  8 Mg 3.12-3.30, 2 Sn 3.18-3.19, 2 Cd 3.18-3.19
Mg 0.0000 0.7454 0.9176  8 Mg 3.12-3.36, 2 Cd 3.15, 2 Sn 3.18
Mg 0.0000 0.5000 0.1642  2 Sn 3.14, 10 Mg 3.14-3.30
Mg 0.5000 0.2498 0.5837  8 Mg 3.12-3.30, 2 Sn 3.18-3.19, 2 Cd 3.18-3.19
Mg 0.0000 0.0000 0.6642  2 Sn 3.14, 10 Mg 3.14-3.30
Mg 0.0000 0.7546 0.4176  8 Mg 3.12-3.36, 2 Cd 3.15, 2 Sn 3.18
Mg 0.0000 0.2454 0.4176  8 Mg 3.12-3.36, 2 Cd 3.15, 2 Sn 3.18
Mg 0.0000 0.5000 0.6670  2 Cd 3.12, 10 Mg 3.16-3.30
Mg 0.5000 0.7502 0.5837  8 Mg 3.12-3.30, 2 Sn 3.18-3.19, 2 Cd 3.18-3.19
Mg 0.5000 0.2502 0.0837  8 Mg 3.12-3.30, 2 Sn 3.18-3.19, 2 Cd 3.18-3.19
Sn 0.5000 0.0000 0.8330  10 Mg 3.14-3.19, 2 Cd 3.30
Sn 0.5000 0.5000 0.3330  10 Mg 3.14-3.19, 2 Cd 3.30

Properties
Total energy ... -1.87 eV/atom
Energy of formation ... -0.053 eV/atom

No. 4
U4S3 | PBE | relaxed

Unit cell a=5.4149 b=5.4149 c=5.4149 alpha=90.00 beta=90.00 gamma=90.00
Closest atoms and distances in Å follow each position.
Fractional coordinates of all 7 atoms:
U 0.5000 0.0000 0.5000  4 S 2.71
U 0.0000 0.0000 0.0000  6 S 2.71
U 0.5000 0.5000 0.0000  4 S 2.71
U 0.0000 0.5000 0.5000  4 S 2.71
S 0.5000 0.0000 0.0000  6 U 2.71
S 0.0000 0.0000 0.5000  6 U 2.71
S 0.0000 0.5000 0.0000  6 U 2.71

Properties
Total energy ... -9.10 eV/atom
Energy of formation ... -1.095 eV/atom

No. 5
Sc2TiO5 | PBE | relaxed

Unit cell a=5.4723 b=5.4723 c=10.3506 alpha=90.00 beta=90.00 gamma=138.47
Closest atoms and distances in Å follow each position.
Fractional coordinates of all 16 atoms:
O 0.1988 0.8012 0.4318  3 Sc 2.04-2.18, 1 Ti 2.16
O 0.7298 0.2702 0.2420  3 Sc 2.09-2.23, 1 Ti 2.13
O 0.8140 0.1860 0.5703  2 Ti 2.02, 1 Sc 2.22
O 0.5540 0.4460 0.8916  1 Ti 1.92, 2 Sc 2.01-2.05
O 0.2702 0.7298 0.7420  3 Sc 2.09-2.23, 1 Ti 2.13
O 0.8012 0.1988 0.9318  3 Sc 2.04-2.18, 1 Ti 2.16
O 0.4636 0.5364 0.1190  1 Ti 1.85
O 0.5364 0.4636 0.6190  1 Ti 1.85
O 0.4460 0.5540 0.3916  1 Ti 1.92, 2 Sc 2.01-2.05
O 0.1860 0.8140 0.0703  2 Ti 2.02, 1 Sc 2.22
Sc 0.3630 0.6370 0.9366  5 O 2.01-2.23
Sc 0.3059 0.6941 0.2496  6 O 2.05-2.22
Sc 0.6370 0.3630 0.4366  5 O 2.01-2.23
Sc 0.6941 0.3059 0.7496  6 O 2.05-2.22
Ti 0.3664 0.6336 0.5591  4 O 1.85-2.02
Ti 0.6336 0.3664 0.0591  4 O 1.85-2.02

Properties
Piezoelectric modulus e_max ... 0.24 C/m²
Total energy ... -9.04 eV/atom
Energy of formation ... -3.807 eV/atom

No. 6
Eu2Sb3 | PBE | relaxed

Unit cell a=6.4237 b=13.1466 c=19.8689 alpha=48.68 beta=90.00 gamma=90.00
Closest atoms and distances in Å follow each position.
Fractional coordinates of all 40 atoms:
Eu 0.7453 0.6251 0.5012  8 Sb 3.27-3.51
Eu 0.7510 0.8741 0.0028  8 Sb 3.29-3.45
Eu 0.7453 0.3749 0.9988  8 Sb 3.27-3.51
Eu 0.0695 0.5000 0.2500  8 Sb 3.29-3.62
Eu 0.5504 0.2467 0.7490  7 Sb 3.28-3.56
Eu 0.2547 0.3749 0.4988  8 Sb 3.27-3.51
Eu 0.2490 0.1259 0.9972  8 Sb 3.29-3.45
Eu 0.0493 0.0000 0.2500  8 Sb 3.30-3.66
Eu 0.7510 0.1259 0.4972  8 Sb 3.29-3.45
Eu 0.9305 0.5000 0.7500  8 Sb 3.29-3.62
Eu 0.5504 0.7533 0.7510  7 Sb 3.28-3.56
Eu 0.2547 0.6251 0.0012  8 Sb 3.27-3.51
Eu 0.2490 0.8741 0.5028  8 Sb 3.29-3.45
Eu 0.4496 0.2467 0.2490  7 Sb 3.28-3.56
Eu 0.4496 0.7533 0.2510  7 Sb 3.28-3.56
Eu 0.9507 0.0000 0.7500  8 Sb 3.30-3.66
Sb 0.7481 0.6994 0.9290  2 Sb 3.10-3.31, 5 Eu 3.35-3.45
Sb 0.5685 0.0670 0.1528  2 Sb 3.01-3.10, 3 Eu 3.27-3.35
Sb 0.5844 0.4406 0.3440  2 Sb 2.95-3.13
Sb 0.5685 0.9330 0.3472  2 Sb 3.01-3.10, 3 Eu 3.27-3.35
Sb 0.7549 0.1905 0.9303  2 Sb 3.08-3.32, 5 Eu 3.33-3.43
Sb 0.4315 0.0670 0.6528  2 Sb 3.01-3.10, 3 Eu 3.27-3.35
Sb 0.9145 0.3910 0.1493  3 Sb 2.98-3.31, 3 Eu 3.29-3.32
Sb 0.2451 0.8095 0.0697  2 Sb 3.08-3.32, 5 Eu 3.33-3.43
Sb 0.4315 0.9330 0.8472  2 Sb 3.01-3.10, 3 Eu 3.27-3.35
Sb 0.4156 0.4406 0.8440  2 Sb 2.95-3.13
Sb 0.9145 0.6090 0.3507  3 Sb 2.98-3.31, 3 Eu 3.29-3.32
Sb 0.2519 0.3006 0.0710  2 Sb 3.10-3.31, 5 Eu 3.35-3.45
Sb 0.7481 0.3006 0.5710  2 Sb 3.10-3.31, 5 Eu 3.35-3.45
Sb 0.9382 0.8660 0.1606  2 Sb 2.98-3.08, 2 Eu 3.29-3.30
Sb 0.0855 0.6090 0.8507  3 Sb 2.98-3.31, 3 Eu 3.29-3.32
Sb 0.9382 0.1340 0.3394  2 Sb 2.98-3.08, 2 Eu 3.29-3.30
Sb 0.4156 0.5594 0.6560  2 Sb 2.95-3.13
Sb 0.0855 0.3910 0.6493  3 Sb 2.98-3.31, 3 Eu 3.29-3.32
Sb 0.7549 0.8095 0.5697  2 Sb 3.08-3.32, 5 Eu 3.33-3.43
Sb 0.2519 0.6994 0.4290  2 Sb 3.10-3.31, 5 Eu 3.35-3.45
Sb 0.5844 0.5594 0.1560  2 Sb 2.95-3.13
Sb 0.0618 0.1340 0.8394  2 Sb 2.98-3.08, 2 Eu 3.29-3.30
Sb 0.0618 0.8660 0.6606  2 Sb 2.98-3.08, 2 Eu 3.29-3.30
Sb 0.2451 0.1905 0.4303  2 Sb 3.08-3.32, 5 Eu 3.33-3.43

Properties
Total energy ... -7.41 eV/atom
Energy of formation ... -0.944 eV/atom
Energy relative to the lowest polymorph listed for this composition ... 7 meV/atom

No. 7
LaWN3 | PBE | relaxed

Unit cell a=5.6444 b=5.6444 c=5.6444 alpha=60.62 beta=60.62 gamma=60.62
Closest atoms and distances in Å follow each position.
Fractional coordinates of all 10 atoms:
N 0.2500 0.8012 0.6988  2 W 2.03
N 0.6988 0.2500 0.8012  2 W 2.03
N 0.3012 0.7500 0.1988  2 W 2.03
N 0.7500 0.1988 0.3012  2 W 2.03
N 0.1988 0.3012 0.7500  2 W 2.03
N 0.8012 0.6988 0.2500  2 W 2.03
W 0.0000 0.0000 0.0000  6 N 2.03
W 0.5000 0.5000 0.5000  6 N 2.03
La 0.2500 0.2500 0.2500  9 N 2.56-2.84
La 0.7500 0.7500 0.7500  9 N 2.56-2.84

Properties
Total energy ... -9.55 eV/atom
Energy of formation ... -1.188 eV/atom

No. 8
Sr2CuO2F2 | PBE | relaxed

Unit cell a=7.0090 b=7.0090 c=7.0090 alpha=148.23 beta=143.31 gamma=49.30
Closest atoms and distances in Å follow each position.
Fractional coordinates of all 7 atoms:
O 0.7619 0.2619 0.5000  4 Sr 2.36-2.48
O 0.0050 0.5050 0.5000  2 Cu 1.92
F 0.4894 0.9894 0.5000  2 Cu 2.21
F 0.2391 0.7391 0.5000  4 Sr 2.39-2.46
Cu 0.0003 0.0003 0.0000  2 O 1.92
Sr 0.3508 0.3508 0.0000  4 F 2.39-2.61, 2 O 2.48
Sr 0.6535 0.6535 0.0000  2 O 2.36, 2 F 2.46

Properties
Total energy ... -5.41 eV/atom
Energy of formation ... -2.711 eV/atom
Energy relative to the lowest polymorph listed for this composition ... 262 meV/atom

No. 9
CdAgO2 | PBE | relaxed

Unit cell a=5.7744 b=5.7744 c=3.4481 alpha=88.69 beta=88.69 gamma=107.49
Closest atoms and distances in Å follow each position.
Fractional coordinates of all 8 atoms:
Ag 0.5000 0.5000 0.0000  2 O 2.16
Ag 0.0000 0.0000 0.0000  4 O 2.10-2.13
Cd 0.5000 0.0000 0.5000  6 O 2.37-2.48
Cd 0.0000 0.5000 0.5000  6 O 2.37-2.48
O 0.2523 0.2523 0.6301  2 Ag 2.10-2.16
O 0.7717 0.2283 0.0000  1 Ag 2.13
O 0.7477 0.7477 0.3699  2 Ag 2.10-2.16
O 0.2283 0.7717 0.0000  1 Ag 2.13

Properties
Total energy ... -3.95 eV/atom
Energy of formation ... -0.881 eV/atom

No. 10
Ca3C3Cl2 | PBE | relaxed

Unit cell a=7.0263 b=7.0263 c=11.5670 alpha=90.00 beta=90.00 gamma=148.11
Closest atoms and distances in Å follow each position.
Fractional coordinates of all 16 atoms:
Cl 0.0000 0.0000 0.0000  4 Ca 2.95
Cl 0.0000 0.0000 0.5000  4 Ca 2.95
Cl 0.5290 0.4710 0.7500  4 Ca 2.79-2.80
Cl 0.4710 0.5290 0.2500  4 Ca 2.79-2.80
Ca 0.1213 0.8787 0.2500  6 C 2.53-2.79, 2 Cl 2.80
Ca 0.6568 0.3432 0.5609  3 C 2.49-2.59, 1 Cl 2.79
Ca 0.8787 0.1213 0.7500  6 C 2.53-2.79, 2 Cl 2.80
Ca 0.3432 0.6568 0.4391  3 C 2.49-2.59, 1 Cl 2.79
Ca 0.3432 0.6568 0.0609  3 C 2.49-2.59, 1 Cl 2.79
Ca 0.6568 0.3432 0.9391  3 C 2.49-2.59, 1 Cl 2.79
C 0.2673 0.7327 0.8649  1 C 1.33
C 0.7327 0.2673 0.3649  1 C 1.33
C 0.2673 0.7327 0.6351  1 C 1.33
C 0.7327 0.2673 0.1351  1 C 1.33
C 0.7422 0.2578 0.2500  2 C 1.33
C 0.2578 0.7422 0.7500  2 C 1.33

Properties
Total energy ... -5.69 eV/atom
Energy of formation ... -1.170 eV/atom

No. 11
YLuCd2 | PBE | relaxed

Unit cell a=5.2602 b=5.2602 c=5.2602 alpha=60.00 beta=60.00 gamma=60.00
Closest atoms and distances in Å follow each position.
Fractional coordinates of all 4 atoms:
Lu 0.5000 0.5000 0.5000  8 Cd 3.22
Cd 0.2500 0.2500 0.2500  4 Lu 3.22, 4 Y 3.22
Cd 0.7500 0.7500 0.7500  4 Lu 3.22, 4 Y 3.22
Y 0.0000 0.0000 0.0000  8 Cd 3.22

Properties
Total energy ... -3.53 eV/atom
Energy of formation ... -0.323 eV/atom

No. 12
NaCu6O8 | PBE | relaxed

Unit cell a=6.4810 b=6.4810 c=6.4810 alpha=60.00 beta=60.00 gamma=60.00
Closest atoms and distances in Å follow each position.
Fractional coordinates of all 15 atoms:
Cu 0.5000 0.0000 0.5000  4 O 1.90
Cu 0.0000 0.0000 0.5000  4 O 1.90
Cu 0.5000 0.5000 0.0000  4 O 1.90
Cu 0.0000 0.5000 0.0000  4 O 1.90
Cu 0.0000 0.5000 0.5000  4 O 1.90
Cu 0.5000 0.0000 0.0000  4 O 1.90
O 0.8551 0.8551 0.4346  3 Cu 1.90
O 0.5654 0.1449 0.1449  3 Cu 1.90
O 0.8551 0.4346 0.8551  3 Cu 1.90
O 0.8551 0.8551 0.8551  3 Cu 1.90
O 0.1449 0.5654 0.1449  3 Cu 1.90
O 0.1449 0.1449 0.1449  3 Cu 1.90
O 0.4346 0.8551 0.8551  3 Cu 1.90
O 0.1449 0.1449 0.5654  3 Cu 1.90
Na 0.0000 0.0000 0.0000  8 O 2.30

Properties
Total energy ... -5.01 eV/atom
Energy of formation ... -1.007 eV/atom